Arrangement P

Density functional theory data (PBE-GGA) for crystalline NaNb2O4 at its relaxed geometry.

a b c (Å): 3.0090 3.0090 11.6045
angles (deg): 90.00 90.00 120.00
Space group P-3m1 (No. 164)
Inequivalent atoms, fractional coordinates:
Na (0.0000, 0.0000, 0.0000) x1
Nb (0.3333, 0.6667, 0.7454) x2
O (0.3333, 0.6667, 0.1400) x2
O (0.3333, 0.6667, 0.3531) x2

Properties
V ... 13.00 Å³/atom



Arrangement Q

Density functional theory data (PBE-GGA) for crystalline NaNb2O4 at its relaxed geometry.

a b c (Å): 5.158 12.155 5.964
angles (deg): 90.00 90.00 90.00
Space group Pbcm (No. 57)
Inequivalent atoms, fractional coordinates:
Na (0.190, 0.004, 0.250) x4
Nb (0.159, 0.747, 0.250) x4
Nb (0.344, 0.250, 0.000) x4
O (0.009, 0.146, 0.503) x8
O (0.487, 0.649, 0.750) x4
O (0.496, 0.647, 0.250) x4

Properties
V ... 13.35 Å³/atom



The relative energies come out as arrangement P 0.105; arrangement Q 0.000, with values in eV/atom.